Entry 1:
# Mo2C, relaxed, DFT PBE
# ΔH_f (0 K)   -0.1125 eV/atom
data_Mo2C
_chemical_formula_sum 'Mo8 C4'
_cell_length_a 4.754
_cell_length_b 6.076
_cell_length_c 5.241
_cell_angle_alpha 90.00
_cell_angle_beta 90.00
_cell_angle_gamma 90.00
_space_group_name_H-M_alt 'P b c n'
_space_group_IT_number 60
loop_
_space_group_symop_operation_xyz
'x,y,z'
'-x,-y,-z'
'-x+1/2,-y+1/2,z+1/2'
'x+1/2,y+1/2,-z+1/2'
'x+1/2,-y+1/2,-z'
'-x+1/2,y+1/2,z'
'-x,y,-z+1/2'
'x,-y,z+1/2'
loop_
_atom_site_label
_atom_site_type_symbol
_atom_site_fract_x
_atom_site_fract_y
_atom_site_fract_z
Mo1 Mo 0.246 0.123 0.079
C1 C 0.000 0.377 0.250

Entry 2:
# InAuI8N2, relaxed, DFT PBE
# Energy with MP2020 corrections   -2.235 eV/atom
# Spin magnetization   23.2 μB/cell
# ΔH_f (0 K)   0.6723 eV/atom
data_InAuI8N2
_chemical_formula_sum 'In4 Au4 I32 N8'
_cell_length_a 12.881
_cell_length_b 19.900
_cell_length_c 8.109
_cell_angle_alpha 90.00
_cell_angle_beta 90.00
_cell_angle_gamma 90.00
_space_group_name_H-M_alt 'P n m a'
_space_group_IT_number 62
loop_
_space_group_symop_operation_xyz
'x,y,z'
'-x,-y,-z'
'-x+1/2,-y,z+1/2'
'x+1/2,y,-z+1/2'
'x+1/2,-y+1/2,-z+1/2'
'-x+1/2,y+1/2,z+1/2'
'-x,y+1/2,-z'
'x,-y+1/2,z'
loop_
_atom_site_label
_atom_site_type_symbol
_atom_site_fract_x
_atom_site_fract_y
_atom_site_fract_z
In1 In 0.176 0.250 0.118
Au1 Au 0.000 0.000 0.500
I1 I 0.008 0.750 0.044
I2 I 0.093 0.053 0.766
I3 I 0.102 0.047 0.233
I4 I 0.168 0.250 0.453
I5 I 0.214 0.636 0.506
N1 N 0.156 0.604 0.988

Entry 3:
# Pr3Cr, relaxed, DFT PBE
# Spin magnetization   10.7 μB/cell
# ΔH_f (0 K)   0.3830 eV/atom
data_Pr3Cr
_chemical_formula_sum 'Pr12 Cr4'
_cell_length_a 7.856
_cell_length_b 7.856
_cell_length_c 7.856
_cell_angle_alpha 90.00
_cell_angle_beta 90.00
_cell_angle_gamma 90.00
_space_group_name_H-M_alt 'F m -3 m'
_space_group_IT_number 225
_space_group_name_Hall '-F 4 2 3'
loop_
_atom_site_label
_atom_site_type_symbol
_atom_site_fract_x
_atom_site_fract_y
_atom_site_fract_z
Pr1 Pr 0.000 0.000 0.000
Pr2 Pr 0.250 0.250 0.250
Cr1 Cr 0.000 0.000 0.500

Entry 4:
# La3In4Ge, relaxed, DFT PBE
# ΔH_f (0 K)   -0.5919 eV/atom
data_La3In4Ge
_chemical_formula_sum 'La12 In16 Ge4'
_cell_length_a 8.711
_cell_length_b 8.711
_cell_length_c 12.143
_cell_angle_alpha 90.00
_cell_angle_beta 90.00
_cell_angle_gamma 90.00
_space_group_name_H-M_alt 'I 4/m c m'
_space_group_IT_number 140
_space_group_name_Hall '-I 4 2c'
loop_
_atom_site_label
_atom_site_type_symbol
_atom_site_fract_x
_atom_site_fract_y
_atom_site_fract_z
La1 La 0.000 0.000 0.250
La2 La 0.163 0.337 0.000
In1 In 0.143 0.357 0.315
Ge1 Ge 0.000 0.000 0.000

Entry 5:
# Ba3Si2B6O16, relaxed, DFT PBE
# Energy with MP2020 corrections   -8.183 eV/atom
# Spin magnetization   0.0 μB/cell
# ΔH_f (0 K)   -3.1519 eV/atom
data_Ba3Si2B6O16
_chemical_formula_sum 'Ba3 Si2 B6 O16'
_cell_length_a 5.084
_cell_length_b 7.682
_cell_length_c 8.630
_cell_angle_alpha 77.18
_cell_angle_beta 77.70
_cell_angle_gamma 87.29
_space_group_name_H-M_alt 'P -1'
_space_group_IT_number 2
loop_
_space_group_symop_operation_xyz
'x,y,z'
'-x,-y,-z'
loop_
_atom_site_label
_atom_site_type_symbol
_atom_site_fract_x
_atom_site_fract_y
_atom_site_fract_z
Ba1 Ba 0.000 0.000 0.000
Ba2 Ba 0.119 0.580 0.735
Si1 Si 0.260 0.174 0.560
B1 B 0.316 0.761 0.296
B2 B 0.469 0.303 0.976
B3 B 0.478 0.091 0.254
O1 O 0.028 0.727 0.389
O2 O 0.201 0.324 0.994
O3 O 0.279 0.973 0.673
O4 O 0.285 0.178 0.367
O5 O 0.355 0.642 0.178
O6 O 0.364 0.945 0.206
O7 O 0.405 0.774 0.895
O8 O 0.498 0.706 0.415

Entry 6:
# PbSO3, relaxed, DFT PBE
# Energy with MP2020 corrections   -6.256 eV/atom
# Spin magnetization   0.0 μB/cell
# ΔH_f (0 K)   -1.7171 eV/atom
data_PbSO3
_chemical_formula_sum 'Pb4 S4 O12'
_cell_length_a 8.054
_cell_length_b 5.570
_cell_length_c 6.907
_cell_angle_alpha 90.00
_cell_angle_beta 90.00
_cell_angle_gamma 90.00
_space_group_name_H-M_alt 'P n m a'
_space_group_IT_number 62
loop_
_space_group_symop_operation_xyz
'x,y,z'
'-x,-y,-z'
'-x+1/2,-y,z+1/2'
'x+1/2,y,-z+1/2'
'x+1/2,-y+1/2,-z+1/2'
'-x+1/2,y+1/2,z+1/2'
'-x,y+1/2,-z'
'x,-y+1/2,z'
loop_
_atom_site_label
_atom_site_type_symbol
_atom_site_fract_x
_atom_site_fract_y
_atom_site_fract_z
Pb1 Pb 0.184 0.250 0.142
S1 S 0.035 0.250 0.649
O1 O 0.062 0.030 0.784
O2 O 0.188 0.250 0.516

Entry 7:
# Nb4CoC2S4, relaxed, DFT PBE
# Energy with MP2020 corrections   -8.445 eV/atom
# Spin magnetization   1.0 μB/cell
# ΔH_f (0 K)   -0.9440 eV/atom
data_Nb4CoC2S4
_chemical_formula_sum 'Nb4 Co1 C2 S4'
_cell_length_a 5.739
_cell_length_b 3.335
_cell_length_c 8.530
_cell_angle_alpha 90.00
_cell_angle_beta 102.63
_cell_angle_gamma 90.00
_space_group_name_H-M_alt 'P 1 2/m 1'
_space_group_IT_number 10
loop_
_space_group_symop_operation_xyz
'x,y,z'
'-x,-y,-z'
'-x,y,-z'
'x,-y,z'
loop_
_atom_site_label
_atom_site_type_symbol
_atom_site_fract_x
_atom_site_fract_y
_atom_site_fract_z
Nb1 Nb 0.116 0.000 0.361
Nb2 Nb 0.373 0.500 0.640
Co1 Co 0.000 0.000 0.000
C1 C 0.000 0.500 0.500
C2 C 0.500 0.000 0.500
S1 S 0.221 0.500 0.156
S2 S 0.279 0.000 0.841

Entry 8:
# CaS2O10, relaxed, DFT PBE
# Energy with MP2020 corrections   -5.836 eV/atom
# Spin magnetization   6.0 μB/cell
# ΔH_f (0 K)   -1.2392 eV/atom
data_CaS2O10
_chemical_formula_sum 'Ca3 S6 O30'
_cell_length_a 6.7221
_cell_length_b 6.7221
_cell_length_c 16.8921
_cell_angle_alpha 90.00
_cell_angle_beta 90.00
_cell_angle_gamma 120.00
_space_group_name_H-M_alt 'P 62'
_space_group_IT_number 171
loop_
_space_group_symop_operation_xyz
'x,y,z'
'x-y,x,z+1/3'
'-y,x-y,z+2/3'
'-x,-y,z'
'-x+y,-x,z+1/3'
'y,-x+y,z+2/3'
loop_
_atom_site_label
_atom_site_type_symbol
_atom_site_fract_x
_atom_site_fract_y
_atom_site_fract_z
Ca1 Ca 0.0000 0.0000 0.0000
S1 S 0.0928 0.3999 0.1677
O1 O 0.0069 0.7524 0.2377
O2 O 0.0256 0.2606 0.0942
O3 O 0.1851 0.5020 0.6688
O4 O 0.1849 0.6832 0.6760
O5 O 0.2393 0.6675 0.5058

Entry 9:
# Li3W, relaxed, DFT PBE
# Distance to the lowest polymorph of the same formula   0 meV per atom
# Spin magnetization   6.1 μB/cell
# ΔH_f (0 K)   0.9752 eV/atom
data_Li3W
_chemical_formula_sum 'Li6 W2'
_cell_length_a 3.820
_cell_length_b 3.820
_cell_length_c 8.780
_cell_angle_alpha 90.00
_cell_angle_beta 90.00
_cell_angle_gamma 90.00
_space_group_name_H-M_alt 'I 4/m m m'
_space_group_IT_number 139
_space_group_name_Hall '-I 4 2'
loop_
_atom_site_label
_atom_site_type_symbol
_atom_site_fract_x
_atom_site_fract_y
_atom_site_fract_z
Li1 Li 0.000 0.000 0.000
Li2 Li 0.000 0.500 0.250
W1 W 0.000 0.000 0.500

Entry 10:
# Cs2YAuCl6, relaxed, DFT PBE
# Energy with MP2020 corrections   -4.339 eV/atom
# Spin magnetization   0.0 μB/cell
# ΔH_f (0 K)   -2.0763 eV/atom
data_Cs2YAuCl6
_chemical_formula_sum 'Cs8 Y4 Au4 Cl24'
_cell_length_a 10.874
_cell_length_b 10.874
_cell_length_c 10.874
_cell_angle_alpha 90.00
_cell_angle_beta 90.00
_cell_angle_gamma 90.00
_space_group_name_H-M_alt 'F m -3 m'
_space_group_IT_number 225
_space_group_name_Hall '-F 4 2 3'
loop_
_atom_site_label
_atom_site_type_symbol
_atom_site_fract_x
_atom_site_fract_y
_atom_site_fract_z
Cs1 Cs 0.250 0.250 0.250
Y1 Y 0.000 0.000 0.000
Au1 Au 0.000 0.000 0.500
Cl1 Cl 0.000 0.000 0.244

Entry 11:
# Lu3Mg, relaxed, DFT PBE
# ΔH_f (0 K)   0.0101 eV/atom
data_Lu3Mg
_chemical_formula_sum 'Lu6 Mg2'
_cell_length_a 6.8643
_cell_length_b 6.8643
_cell_length_c 5.4713
_cell_angle_alpha 90.00
_cell_angle_beta 90.00
_cell_angle_gamma 120.00
_space_group_name_H-M_alt 'P 63/m m c'
_space_group_IT_number 194
_space_group_name_Hall '-P 6c 2c'
loop_
_atom_site_label
_atom_site_type_symbol
_atom_site_fract_x
_atom_site_fract_y
_atom_site_fract_z
Lu1 Lu 0.1684 0.3367 0.2500
Mg1 Mg 0.3333 0.6667 0.7500

Entry 12:
# NaBi5O8, relaxed, DFT PBE
# Energy with MP2020 corrections   -5.945 eV/atom
# Distance to the lowest polymorph of the same formula   0 meV per atom
# ΔH_f (0 K)   -1.6335 eV/atom
data_NaBi5O8
_chemical_formula_sum 'Na2 Bi10 O16'
_cell_length_a 7.529
_cell_length_b 7.772
_cell_length_c 10.107
_cell_angle_alpha 71.54
_cell_angle_beta 73.73
_cell_angle_gamma 81.30
_space_group_name_H-M_alt 'P -1'
_space_group_IT_number 2
loop_
_space_group_symop_operation_xyz
'x,y,z'
'-x,-y,-z'
loop_
_atom_site_label
_atom_site_type_symbol
_atom_site_fract_x
_atom_site_fract_y
_atom_site_fract_z
Na1 Na 0.242 0.416 0.474
Bi1 Bi 0.043 0.398 0.179
Bi2 Bi 0.049 0.826 0.219
Bi3 Bi 0.252 0.937 0.465
Bi4 Bi 0.377 0.247 0.841
Bi5 Bi 0.451 0.697 0.843
O1 O 0.001 0.914 0.411
O2 O 0.036 0.549 0.332
O3 O 0.048 0.340 0.946
O4 O 0.263 0.158 0.708
O5 O 0.308 0.204 0.332
O6 O 0.328 0.465 0.065
O7 O 0.343 0.809 0.286
O8 O 0.401 0.534 0.725

Entry 13:
# Sr3Al2In4, relaxed, DFT PBE
# Spin magnetization   0.0 μB/cell
# ΔH_f (0 K)   -0.3413 eV/atom
data_Sr3Al2In4
_chemical_formula_sum 'Sr12 Al8 In16'
_cell_length_a 11.224
_cell_length_b 5.321
_cell_length_c 18.280
_cell_angle_alpha 90.00
_cell_angle_beta 106.29
_cell_angle_gamma 90.00
_space_group_name_H-M_alt 'C 1 m 1'
_space_group_IT_number 8
loop_
_space_group_symop_operation_xyz
'x,y,z'
'x,-y,z'
'x+1/2,y+1/2,z'
'x+1/2,-y+1/2,z'
loop_
_atom_site_label
_atom_site_type_symbol
_atom_site_fract_x
_atom_site_fract_y
_atom_site_fract_z
Sr1 Sr 0.000 0.000 0.000
Sr2 Sr 0.054 0.500 0.529
Sr3 Sr 0.164 0.500 0.332
Sr4 Sr 0.222 0.000 0.865
Sr5 Sr 0.332 0.000 0.666
Sr6 Sr 0.389 0.500 0.195
Al1 Al 0.074 0.500 0.131
Al2 Al 0.250 0.000 0.466
Al3 Al 0.315 0.000 0.065
Al4 Al 0.417 0.500 0.799
In1 In 0.017 0.500 0.857
In2 In 0.030 0.000 0.673
In3 In 0.153 0.500 0.732
In4 In 0.185 0.000 0.185
In5 In 0.203 0.500 0.009
In6 In 0.349 0.500 0.522
In7 In 0.363 0.000 0.340
In8 In 0.486 0.500 0.398

Entry 14:
# Ba2TmCl7, relaxed, DFT PBE
# Energy with MP2020 corrections   -4.988 eV/atom
# ΔH_f (0 K)   -2.8622 eV/atom
data_Ba2TmCl7
_chemical_formula_sum 'Ba8 Tm4 Cl28'
_cell_length_a 6.918
_cell_length_b 15.737
_cell_length_c 10.669
_cell_angle_alpha 90.00
_cell_angle_beta 90.71
_cell_angle_gamma 90.00
_space_group_name_H-M_alt 'P 1 21/c 1'
_space_group_IT_number 14
loop_
_space_group_symop_operation_xyz
'x,y,z'
'-x,-y,-z'
'-x,y+1/2,-z+1/2'
'x,-y+1/2,z+1/2'
loop_
_atom_site_label
_atom_site_type_symbol
_atom_site_fract_x
_atom_site_fract_y
_atom_site_fract_z
Ba1 Ba 0.234 0.061 0.324
Ba2 Ba 0.235 0.720 0.451
Tm1 Tm 0.284 0.127 0.782
Cl1 Cl 0.014 0.244 0.301
Cl2 Cl 0.015 0.105 0.588
Cl3 Cl 0.206 0.538 0.287
Cl4 Cl 0.210 0.139 0.026
Cl5 Cl 0.374 0.571 0.624
Cl6 Cl 0.497 0.229 0.295
Cl7 Cl 0.499 0.105 0.573

Entry 15:
# Li2InPb, relaxed, DFT PBE
# Distance to the lowest polymorph of the same formula   99 meV per atom
# Spin magnetization   0.0 μB/cell
# ΔH_f (0 K)   -0.1623 eV/atom
data_Li2InPb
_chemical_formula_sum 'Li8 In4 Pb4'
_cell_length_a 7.215
_cell_length_b 7.215
_cell_length_c 7.215
_cell_angle_alpha 90.00
_cell_angle_beta 90.00
_cell_angle_gamma 90.00
_space_group_name_H-M_alt 'F -4 3 m'
_space_group_IT_number 216
_space_group_name_Hall 'F -4 2 3'
loop_
_atom_site_label
_atom_site_type_symbol
_atom_site_fract_x
_atom_site_fract_y
_atom_site_fract_z
Li1 Li 0.000 0.000 0.000
Li2 Li 0.250 0.250 0.250
In1 In 0.000 0.000 0.500
Pb1 Pb 0.250 0.250 0.750

Entry 16:
# TiPd, relaxed, DFT PBE
# ΔH_f (0 K)   -0.5443 eV/atom
data_TiPd
_chemical_formula_sum 'Ti2 Pd2'
_cell_length_a 4.588
_cell_length_b 2.801
_cell_length_c 4.915
_cell_angle_alpha 90.00
_cell_angle_beta 90.00
_cell_angle_gamma 90.00
_space_group_name_H-M_alt 'P m m a'
_space_group_IT_number 51
loop_
_space_group_symop_operation_xyz
'x,y,z'
'-x,-y,-z'
'-x+1/2,-y,z'
'x+1/2,y,-z'
'x+1/2,-y,-z'
'-x+1/2,y,z'
'-x,y,-z'
'x,-y,z'
loop_
_atom_site_label
_atom_site_type_symbol
_atom_site_fract_x
_atom_site_fract_y
_atom_site_fract_z
Ti1 Ti 0.250 0.000 0.202
Pd1 Pd 0.250 0.500 0.687